Entry 1:
Here is a relaxed Li3Mn4B4O12 crystal from the Materials Project. Energies are from PBE+U.

Unit cell a=7.9252 b=8.2865 c=9.0640 alpha=68.02 beta=65.99 gamma=81.63
Closest atoms and distances in Å follow each position.
Positions (direct):
Li 0.0000 0.0000 0.0000  4 O 1.95-2.05
Li 0.0959 0.2515 0.3953  4 O 1.96-2.05
Li 0.2501 0.7517 0.5042  4 O 1.92-2.05
Li 0.4868 0.4984 0.0147  4 O 1.93-2.00
Li 0.7351 0.2474 0.5108  4 O 1.95-2.05
Li 0.8481 0.5038 0.8931  4 O 1.94-2.07
Mn 0.1397 0.2834 0.0172  5 O 2.04-2.27
Mn 0.2079 0.7061 0.8842  5 O 2.02-2.12
Mn 0.3831 0.0375 0.5338  4 O 2.06-2.20
Mn 0.4541 0.4588 0.3815  5 O 2.04-2.15
Mn 0.6168 0.8009 0.0366  5 O 2.06-2.24
Mn 0.6969 0.2106 0.8764  5 O 2.12-2.28
Mn 0.8699 0.5515 0.5167  5 O 2.06-2.22
Mn 0.9481 0.9598 0.3798  5 O 2.11-2.27
B 0.1204 0.2902 0.6909  3 O 1.36-1.42
B 0.2008 0.7140 0.2093  3 O 1.37-1.40
B 0.3689 0.0369 0.2041  3 O 1.36-1.41
B 0.4533 0.4684 0.7040  3 O 1.36-1.41
B 0.6190 0.7695 0.7101  3 O 1.38-1.41
B 0.7088 0.2183 0.2046  3 O 1.38-1.41
B 0.8746 0.5252 0.1935  3 O 1.38-1.42
B 0.9552 0.9647 0.7112  3 O 1.38-1.41
O 0.1050 0.7260 0.3735  1 B 1.40
O 0.1157 0.8661 0.6865  1 B 1.39
O 0.1299 0.7899 0.0847  1 B 1.37
O 0.1711 0.1953 0.8251  1 B 1.36
O 0.2034 0.1327 0.2270  1 B 1.41
O 0.2291 0.2827 0.5248  1 B 1.42
O 0.3614 0.4783 0.8707  1 B 1.41
O 0.3686 0.6240 0.1796  1 B 1.40
O 0.3783 0.5435 0.5837  1 B 1.36
O 0.4178 0.9471 0.3404  1 B 1.36
O 0.4439 0.8459 0.7338  1 B 1.41
O 0.4758 0.0300 0.0401  1 B 1.40
O 0.6090 0.2251 0.3712  1 B 1.41
O 0.6221 0.3804 0.6703  1 B 1.40
O 0.6520 0.3132 0.0720  1 B 1.38
O 0.6728 0.6856 0.8472  1 B 1.38
O 0.7020 0.6008 0.2166  1 B 1.39
O 0.7326 0.7761 0.5449  1 B 1.38
O 0.8510 0.9735 0.8763  1 B 1.41
O 0.8733 0.1249 0.1744  1 B 1.40
O 0.9028 0.0631 0.5756  1 B 1.38
O 0.9277 0.4356 0.3301  1 B 1.38
O 0.9541 0.3833 0.7162  1 B 1.41
O 0.9908 0.5291 0.0248  1 B 1.42

magnetic moment	19.00	μB per formula unit
energy of formation from the pure elements	-2.461	eV per atom
ΔE to the lowest computed polymorph	12	meV per atom



Entry 2:
Here is a relaxed Sr18Fe6Ru3O34 crystal from the Materials Project. Energies are from PBE+U.

Unit cell a=3.9203 b=11.7693 c=20.1056 alpha=106.86 beta=95.47 gamma=90.03
Closest atoms and distances in Å follow each position.
Positions (direct):
Sr 0.0447 0.0478 0.0932  9 O 2.61-2.85
Sr 0.0447 0.7230 0.0966  7 O 2.54-2.77
Sr 0.0469 0.3703 0.0948  8 O 2.55-2.84
Sr 0.2848 0.6149 0.5645  7 O 2.46-2.68
Sr 0.2857 0.2931 0.5712  4 O 2.49-2.72
Sr 0.2864 0.9432 0.5699  4 O 2.47-2.76
Sr 0.3809 0.0425 0.7641  1 O 2.38
Sr 0.3812 0.7185 0.7696  3 O 2.37-2.60
Sr 0.3820 0.3915 0.7656  3 O 2.44-2.73
Sr 0.6180 0.6085 0.2344  3 O 2.44-2.73
Sr 0.6188 0.2815 0.2304  3 O 2.37-2.60
Sr 0.6191 0.9575 0.2359  1 O 2.38
Sr 0.7136 0.0568 0.4301  4 O 2.47-2.76
Sr 0.7143 0.7069 0.4288  4 O 2.49-2.72
Sr 0.7152 0.3851 0.4355  7 O 2.46-2.68
Sr 0.9531 0.6297 0.9052  8 O 2.55-2.84
Sr 0.9553 0.2770 0.9034  7 O 2.54-2.77
Sr 0.9553 0.9522 0.9068  9 O 2.61-2.85
Fe 0.1666 0.1645 0.3331  5 O 1.92-2.08
Fe 0.1667 0.5014 0.3322  5 O 1.92-2.01
Fe 0.5002 0.1644 0.9989  6 O 1.94-2.12
Fe 0.4998 0.8356 0.0011  6 O 1.94-2.12
Fe 0.8333 0.4986 0.6678  5 O 1.92-2.01
Fe 0.8334 0.8355 0.6669  5 O 1.92-2.08
Ru 0.1670 0.8333 0.3340  6 O 1.96-2.05
Ru 0.5000 0.5000 0.0000  6 O 1.94-2.05
Ru 0.8330 0.1667 0.6660  6 O 1.96-2.05
O 0.9999 0.1675 0.9984  2 Fe 1.96
O 0.0000 0.5000 0.0000  2 Ru 1.96
O 0.0001 0.8325 0.0016  2 Fe 1.96
O 0.1155 0.1280 0.2295  1 Fe 1.99
O 0.1154 0.7819 0.2293  1 Ru 2.01
O 0.1161 0.4371 0.2278  1 Fe 2.00
O 0.1668 0.6648 0.3332  1 Fe 1.92, 1 Ru 1.98
O 0.1682 0.0027 0.3356  1 Fe 1.92, 1 Ru 1.98
O 0.2185 0.2326 0.4411  1 Fe 2.08
O 0.2187 0.5363 0.4366  1 Fe 2.01
O 0.2192 0.8832 0.4408  1 Ru 2.05
O 0.3325 0.8064 0.6646  2 Fe 1.99
O 0.3326 0.1663 0.6652  2 Ru 1.96
O 0.3326 0.5252 0.6669  2 Fe 1.98-1.99
O 0.4462 0.1156 0.8880  1 Fe 2.12, 1 Sr 2.38
O 0.4474 0.7756 0.8933  1 Fe 2.06
O 0.4494 0.4488 0.8929  1 Ru 2.05
O 0.5000 0.0000 0.0000  2 Fe 1.94
O 0.4996 0.3344 0.9984  1 Ru 1.94, 1 Fe 2.00
O 0.5004 0.6656 0.0016  1 Ru 1.94, 1 Fe 2.00
O 0.5506 0.5512 0.1071  1 Ru 2.05
O 0.5526 0.2244 0.1067  1 Fe 2.06
O 0.5538 0.8844 0.1120  1 Fe 2.12, 1 Sr 2.38
O 0.6674 0.4748 0.3331  2 Fe 1.98-1.99
O 0.6674 0.8337 0.3348  2 Ru 1.96
O 0.6675 0.1936 0.3354  2 Fe 1.99
O 0.7808 0.1168 0.5592  1 Ru 2.05
O 0.7813 0.4637 0.5634  1 Fe 2.01
O 0.7815 0.7674 0.5589  1 Fe 2.08
O 0.8318 0.9973 0.6644  1 Fe 1.92, 1 Ru 1.98
O 0.8332 0.3352 0.6668  1 Fe 1.92, 1 Ru 1.98
O 0.8839 0.5629 0.7722  1 Fe 2.00
O 0.8846 0.2181 0.7707  1 Ru 2.01
O 0.8845 0.8720 0.7705  1 Fe 1.99

magnetic moment	37.07	μB per formula unit
energy of formation from the pure elements	-2.541	eV per atom



Entry 3:
Here is a relaxed MgMn4O8 crystal from the Materials Project. Energies are from PBE+U.

Unit cell a=5.8982 b=5.8982 c=6.2464 alpha=118.44 beta=118.44 gamma=60.02
Closest atoms and distances in Å follow each position.
Positions (direct):
Mg 0.0000 0.0000 0.0000  6 O 2.09
Mn 0.0000 0.5000 0.0000  6 O 1.94-1.97
Mn 0.5000 0.0000 0.0000  6 O 1.94-1.97
Mn 0.5000 0.5000 0.0000  6 O 1.94-1.97
Mn 0.5000 0.5000 0.5000  6 O 2.23-2.24
O 0.2443 0.2443 0.1965  2 Mn 1.94, 1 Mg 2.09
O 0.2447 0.7094 0.1967  2 Mn 1.94, 1 Mg 2.09
O 0.2694 0.2694 0.8105  3 Mn 1.97
O 0.2906 0.7553 0.8033  2 Mn 1.94, 1 Mg 2.09
O 0.7094 0.2447 0.1967  2 Mn 1.94, 1 Mg 2.09
O 0.7306 0.7306 0.1895  3 Mn 1.97
O 0.7553 0.2906 0.8033  2 Mn 1.94, 1 Mg 2.09
O 0.7557 0.7557 0.8035  2 Mn 1.94, 1 Mg 2.09

magnetic moment	14.00	μB per formula unit
energy of formation from the pure elements	-2.063	eV per atom
ΔE to the lowest computed polymorph	7	meV per atom



Entry 4:
Here is a relaxed Sr3WO6 crystal from the Materials Project. Energies are from PBE+U.

Unit cell a=10.3084 b=10.3084 c=10.3254 alpha=99.06 beta=99.06 gamma=120.58
Closest atoms and distances in Å follow each position.
Positions (direct):
Sr 0.0653 0.5998 0.6070  7 O 2.57-2.84
Sr 0.0688 0.9312 0.5000  7 O 2.47-2.76
Sr 0.1667 0.9587 0.8857  5 O 2.51-2.65
Sr 0.1935 0.6396 0.9708  6 O 2.39-2.65
Sr 0.2485 0.4303 0.1865  6 O 2.49-2.71
Sr 0.3196 0.8004 0.3713  7 O 2.52-2.82
Sr 0.3546 0.5116 0.5445  6 O 2.39-2.67
Sr 0.4303 0.2485 0.6865  6 O 2.49-2.71
Sr 0.5116 0.3546 0.0445  6 O 2.39-2.67
Sr 0.5218 0.6703 0.9032  5 O 2.48-2.74
Sr 0.5998 0.0653 0.1070  7 O 2.57-2.84
Sr 0.6396 0.1935 0.4708  6 O 2.39-2.65
Sr 0.6703 0.5218 0.4032  5 O 2.48-2.74
Sr 0.7322 0.9163 0.6284  6 O 2.52-2.79
Sr 0.8004 0.3196 0.8713  7 O 2.52-2.82
Sr 0.9163 0.7322 0.1284  6 O 2.52-2.79
Sr 0.9312 0.0688 0.0000  7 O 2.47-2.76
Sr 0.9587 0.1667 0.3857  5 O 2.51-2.65
W 0.1177 0.2869 0.7520  6 O 1.95-2.02
W 0.2869 0.1177 0.2520  6 O 1.95-2.02
W 0.4642 0.9562 0.7625  6 O 1.89-2.01
W 0.6212 0.7848 0.2582  6 O 1.95-1.99
W 0.7848 0.6212 0.7582  6 O 1.95-1.99
W 0.9562 0.4642 0.2625  6 O 1.89-2.01
O 0.0016 0.6726 0.3601  1 W 2.00
O 0.0244 0.0724 0.7657  1 W 1.95
O 0.0623 0.3393 0.9178  1 W 1.97
O 0.0724 0.0244 0.2657  1 W 1.95
O 0.1064 0.5803 0.1676  1 W 1.94
O 0.1446 0.5001 0.3951  1 W 2.01
O 0.1771 0.2314 0.5847  1 W 2.02
O 0.2180 0.5072 0.7427  1 W 1.99
O 0.2290 0.9190 0.1295  1 W 1.96
O 0.2314 0.1771 0.0847  1 W 2.02
O 0.2601 0.9231 0.6771  1 W 1.98
O 0.3298 0.3535 0.8539  1 W 1.97
O 0.3393 0.0623 0.4178  1 W 1.97
O 0.3535 0.3298 0.3539  1 W 1.97
O 0.3849 0.8450 0.8946  1 W 1.93
O 0.4190 0.7877 0.6198  1 W 1.89
O 0.4230 0.6631 0.1127  1 W 1.96
O 0.5001 0.1446 0.8951  1 W 2.01
O 0.5027 0.6747 0.3790  1 W 1.96
O 0.5072 0.2180 0.2427  1 W 1.99
O 0.5803 0.1064 0.6676  1 W 1.94
O 0.5884 0.9564 0.3170  1 W 1.99
O 0.6216 0.6609 0.7004  1 W 1.95
O 0.6609 0.6216 0.2004  1 W 1.95
O 0.6631 0.4230 0.6127  1 W 1.96
O 0.6726 0.0016 0.8601  1 W 2.00
O 0.6747 0.5027 0.8790  1 W 1.96
O 0.7238 0.8927 0.1303  1 W 1.95
O 0.7877 0.4190 0.1198  1 W 1.89
O 0.8115 0.8941 0.4108  1 W 1.95
O 0.8450 0.3849 0.3946  1 W 1.93
O 0.8927 0.7238 0.6303  1 W 1.95
O 0.8941 0.8115 0.9108  1 W 1.95
O 0.9190 0.2290 0.6295  1 W 1.96
O 0.9231 0.2601 0.1771  1 W 1.98
O 0.9564 0.5884 0.8170  1 W 1.99

magnetic moment	0.00	μB per formula unit
energy of formation from the pure elements	-2.982	eV per atom



Entry 5:
Here is a relaxed Li2VCrO4 crystal from the Materials Project. Energies are from PBE+U.

Unit cell a=2.9665 b=5.1315 c=9.9170 alpha=99.19 beta=89.96 gamma=90.01
Closest atoms and distances in Å follow each position.
Positions (direct):
Li 0.5000 0.5000 0.0000  6 O 2.17-2.19
Li 0.5000 0.0000 0.5000  6 O 2.17-2.19
Li 0.0000 0.0000 0.0000  6 O 2.16
Li 0.0000 0.5000 0.5000  6 O 2.16
V 0.0000 0.2500 0.7500  6 O 2.04-2.08
V 0.0000 0.7500 0.2500  6 O 2.04-2.08
Cr 0.5000 0.2500 0.2500  6 O 2.03-2.04
Cr 0.5000 0.7500 0.7500  6 O 2.03-2.04
O 0.9996 0.1261 0.3646  2 Cr 2.03, 1 V 2.08, 3 Li 2.16-2.17
O 0.9996 0.6259 0.8645  2 Cr 2.03, 1 V 2.08, 3 Li 2.16-2.17
O 0.0004 0.3739 0.1354  2 Cr 2.03, 1 V 2.08, 3 Li 2.16-2.17
O 0.0004 0.8741 0.6355  2 Cr 2.03, 1 V 2.08, 3 Li 2.16-2.17
O 0.5003 0.8810 0.1360  2 V 2.04, 1 Cr 2.04, 3 Li 2.16-2.19
O 0.5004 0.3811 0.6360  2 V 2.04, 1 Cr 2.04, 3 Li 2.16-2.19
O 0.4997 0.6190 0.3640  2 V 2.04, 1 Cr 2.04, 3 Li 2.16-2.19
O 0.4996 0.1189 0.8640  2 V 2.04, 1 Cr 2.04, 3 Li 2.16-2.19

magnetic moment	0.00	μB per formula unit
energy of formation from the pure elements	-2.441	eV per atom
ΔE to the lowest computed polymorph	8	meV per atom